## Cs2HfW3O12 (GGA+U)

Data for crystalline Cs2HfW3O12 at its relaxed geometry.

- Calculated volume: 16.436 A^3/atom
- Density: 6.7 g/cm³
- Energy relative to the elements: -2.5976 eV per atom

Unit cell a=12.8805 b=7.4351 c=7.5208 alpha=90.00 beta=124.77 gamma=90.00
With the nearest neighbours (Å) after each atom.
Space group C2 (No. 5)
Asymmetric unit:
Cs  0.1373  0.0000  0.3892 (multiplicity 4)  6 O 3.16-3.51
Hf  0.0000  0.4746  0.5000 (multiplicity 2)  6 O 2.07-2.08
W  0.0000  0.4742  0.0000 (multiplicity 2)  6 O 1.91-1.96
W  0.2499  0.2251  0.0003 (multiplicity 4)  6 O 1.91-1.97
O  0.0627  0.4706  0.2999 (multiplicity 4)  1 W 1.91, 1 Hf 2.07
O  0.1231  0.2879  0.0546 (multiplicity 4)  2 W 1.95-1.96
O  0.1238  0.6571  0.0561 (multiplicity 4)  2 W 1.95-1.97
O  0.1313  0.2791  0.7002 (multiplicity 4)  1 W 1.91, 1 Hf 2.08
O  0.1327  0.6662  0.7003 (multiplicity 4)  1 W 1.91, 1 Hf 2.07
O  0.1916  0.9728  0.9447 (multiplicity 4)  2 W 1.94-1.97

## V4CoCuO12 (GGA+U)

Data for crystalline V4CoCuO12 at its relaxed geometry.

- Calculated volume: 13.670 A^3/atom
- Density: 3.5 g/cm³
- Energy relative to the elements: -2.0044 eV per atom

Unit cell a=9.7761 b=8.8282 c=6.0031 alpha=90.00 beta=108.22 gamma=90.00
With the nearest neighbours (Å) after each atom.
Space group C2 (No. 5)
Asymmetric unit:
V  0.1982  0.0000  0.4821 (multiplicity 4)  4 O 1.69-1.81
V  0.2046  0.8213  0.9929 (multiplicity 4)  4 O 1.69-1.79
Co  0.0000  0.3302  0.5000 (multiplicity 2)  4 O 1.95-1.98
Cu  0.0000  0.4958  0.0000 (multiplicity 2)  4 O 1.95-2.00
O  0.1097  0.3362  0.8919 (multiplicity 4)  1 V 1.73
O  0.1188  0.4948  0.4328 (multiplicity 4)  1 V 1.70
O  0.1320  0.9176  0.1928 (multiplicity 4)  2 V 1.79-1.81
O  0.1402  0.1811  0.4699 (multiplicity 4)  1 V 1.69
O  0.1443  0.8992  0.7031 (multiplicity 4)  2 V 1.79-1.81
O  0.1486  0.6391  0.9836 (multiplicity 4)  1 V 1.69

## Li32Mn3Cr13O48 (GGA+U)

Data for crystalline Li32Mn3Cr13O48 at its relaxed geometry.

- Calculated volume: 8.799 A^3/atom
- Density: 3.6 g/cm³
- Energy relative to the elements: -2.2232 eV per atom

Unit cell a=5.0235 b=8.7340 c=19.5025 alpha=82.07 beta=85.35 gamma=89.44
With the nearest neighbours (Å) after each atom.
Space group P1 (No. 1)
Asymmetric unit:
Li  0.0000  0.0000  0.0000 (multiplicity 1)  6 O 2.09-2.13
Li  0.0010  0.0011  0.5000 (multiplicity 1)  6 O 2.08-2.15
Li  0.1163  0.7958  0.1247 (multiplicity 1)  6 O 2.04-2.26
Li  0.1198  0.7958  0.6247 (multiplicity 1)  6 O 2.04-2.23
Li  0.1214  0.1251  0.6252 (multiplicity 1)  6 O 2.05-2.20
Li  0.1243  0.1249  0.1251 (multiplicity 1)  6 O 2.04-2.21
Li  0.1299  0.4545  0.1248 (multiplicity 1)  6 O 2.06-2.20
Li  0.1342  0.4550  0.6252 (multiplicity 1)  6 O 2.05-2.24
Li  0.2486  0.2486  0.2499 (multiplicity 1)  6 O 2.08-2.16
Li  0.2506  0.2510  0.7500 (multiplicity 1)  6 O 2.08-2.15
Li  0.3647  0.0428  0.3755 (multiplicity 1)  6 O 2.05-2.25
Li  0.3682  0.0444  0.8750 (multiplicity 1)  6 O 2.04-2.20
Li  0.3720  0.3753  0.8752 (multiplicity 1)  6 O 2.04-2.20
Li  0.3753  0.3741  0.3756 (multiplicity 1)  6 O 2.03-2.20
Li  0.3824  0.7067  0.3750 (multiplicity 1)  6 O 2.06-2.21
Li  0.3858  0.7063  0.8746 (multiplicity 1)  6 O 2.05-2.24
Li  0.5003  0.5002  0.4999 (multiplicity 1)  6 O 2.08-2.15
Li  0.5009  0.5005  0.0000 (multiplicity 1)  6 O 2.08-2.14
Li  0.6171  0.2945  0.6250 (multiplicity 1)  6 O 2.04-2.22
Li  0.6212  0.2958  0.1247 (multiplicity 1)  6 O 2.05-2.22
Li  0.6233  0.6260  0.1245 (multiplicity 1)  6 O 2.04-2.20
Li  0.6246  0.6243  0.6248 (multiplicity 1)  6 O 2.03-2.21
Li  0.6309  0.9554  0.6253 (multiplicity 1)  6 O 2.06-2.21
Li  0.6338  0.9545  0.1253 (multiplicity 1)  6 O 2.05-2.24
Li  0.7504  0.7501  0.7500 (multiplicity 1)  6 O 2.08-2.15
Li  0.7512  0.7516  0.2501 (multiplicity 1)  6 O 2.08-2.16
Li  0.8652  0.5429  0.8754 (multiplicity 1)  6 O 2.04-2.24
Li  0.8668  0.5441  0.3755 (multiplicity 1)  6 O 2.04-2.20
Li  0.8731  0.8749  0.3749 (multiplicity 1)  6 O 2.05-2.20
Li  0.8745  0.8743  0.8748 (multiplicity 1)  6 O 2.04-2.22
Li  0.8822  0.2073  0.8749 (multiplicity 1)  6 O 2.06-2.21
Li  0.8866  0.2066  0.3748 (multiplicity 1)  6 O 2.04-2.25
Mn  0.9997  0.3337  0.9997 (multiplicity 1)  6 O 1.93-1.95
Mn  0.4990  0.8333  0.5000 (multiplicity 1)  6 O 1.93-1.95
Mn  0.7496  0.0834  0.7497 (multiplicity 1)  6 O 1.93-1.95
Cr  0.0027  0.6624  0.0005 (multiplicity 1)  6 O 1.89-2.01
Cr  0.0058  0.6697  0.4996 (multiplicity 1)  6 O 1.92-1.99
Cr  0.2442  0.5864  0.7505 (multiplicity 1)  6 O 1.90-1.99
Cr  0.2464  0.5775  0.2509 (multiplicity 1)  6 O 1.88-2.00
Cr  0.2546  0.9132  0.2502 (multiplicity 1)  6 O 1.89-2.00
Cr  0.2567  0.9196  0.7496 (multiplicity 1)  6 O 1.91-2.00
Cr  0.4926  0.8359  0.0005 (multiplicity 1)  6 O 1.88-1.99
Cr  0.5037  0.1628  0.5002 (multiplicity 1)  6 O 1.89-2.00
Cr  0.5089  0.1678  0.9996 (multiplicity 1)  6 O 1.89-2.01
Cr  0.7448  0.0872  0.2499 (multiplicity 1)  6 O 1.89-2.00
Cr  0.7515  0.4127  0.7503 (multiplicity 1)  6 O 1.90-2.00
Cr  0.7525  0.4227  0.2493 (multiplicity 1)  6 O 1.88-2.00
Cr  0.9956  0.3366  0.5002 (multiplicity 1)  6 O 1.90-1.99
O  0.0447  0.4107  0.8063 (multiplicity 1)  2 Cr 1.90-1.98, 2 Li 2.04-2.10
O  0.0501  0.0517  0.3073 (multiplicity 1)  2 Cr 1.97-1.98, 4 Li 2.05-2.14
O  0.0515  0.0509  0.8069 (multiplicity 1)  1 Cr 1.94, 1 Mn 1.95, 4 Li 2.05-2.15
O  0.0618  0.4128  0.3063 (multiplicity 1)  2 Cr 1.88-1.98, 2 Li 2.07-2.09
O  0.0887  0.7284  0.3062 (multiplicity 1)  2 Cr 1.94-1.97, 2 Li 2.06-2.08
O  0.0921  0.7313  0.8064 (multiplicity 1)  2 Cr 1.90-2.00, 2 Li 2.06-2.11
O  0.1570  0.5215  0.4439 (multiplicity 1)  2 Cr 1.92-1.97, 2 Li 2.04-2.11
O  0.1598  0.5173  0.9446 (multiplicity 1)  1 Cr 1.91, 1 Mn 1.95, 2 Li 2.07-2.09
O  0.1948  0.1972  0.9430 (multiplicity 1)  1 Mn 1.94, 1 Cr 1.99, 4 Li 2.06-2.14
O  0.1976  0.8401  0.4442 (multiplicity 1)  1 Cr 1.93, 1 Mn 1.93, 2 Li 2.06-2.09
O  0.2019  0.1981  0.4426 (multiplicity 1)  2 Cr 1.96-1.99, 4 Li 2.03-2.14
O  0.2044  0.8395  0.9437 (multiplicity 1)  2 Cr 1.89-2.01, 2 Li 2.05-2.11
O  0.2935  0.6600  0.0566 (multiplicity 1)  2 Cr 1.89-1.99, 2 Li 2.04-2.11
O  0.2986  0.3011  0.5573 (multiplicity 1)  2 Cr 1.96-1.98, 4 Li 2.05-2.15
O  0.3014  0.3012  0.0568 (multiplicity 1)  1 Mn 1.95, 1 Cr 1.96, 4 Li 2.05-2.16
O  0.3074  0.6611  0.5558 (multiplicity 1)  1 Cr 1.93, 1 Mn 1.94, 3 Li 2.07-2.16
O  0.3364  0.9790  0.5562 (multiplicity 1)  1 Mn 1.93, 1 Cr 1.97, 2 Li 2.07-2.08
O  0.3419  0.9787  0.0565 (multiplicity 1)  2 Cr 1.88-2.01, 2 Li 2.06-2.11
O  0.4060  0.7719  0.6940 (multiplicity 1)  2 Cr 1.91-1.97, 2 Li 2.04-2.11
O  0.4067  0.7681  0.1946 (multiplicity 1)  2 Cr 1.90-2.00, 2 Li 2.07-2.11
O  0.4405  0.4518  0.1921 (multiplicity 1)  2 Cr 1.90-1.99, 2 Li 2.04-2.12
O  0.4476  0.0904  0.6942 (multiplicity 1)  1 Mn 1.93, 1 Cr 1.93, 2 Li 2.06-2.09
O  0.4523  0.4488  0.6928 (multiplicity 1)  2 Cr 1.94-1.99, 4 Li 2.03-2.15
O  0.4553  0.0899  0.1936 (multiplicity 1)  2 Cr 1.89-2.00, 2 Li 2.05-2.10
O  0.5445  0.9102  0.3063 (multiplicity 1)  2 Cr 1.89-2.00, 2 Li 2.05-2.10
O  0.5479  0.5518  0.8075 (multiplicity 1)  2 Cr 1.96-1.98, 4 Li 2.04-2.15
O  0.5571  0.9114  0.8059 (multiplicity 1)  1 Cr 1.93, 1 Mn 1.95, 3 Li 2.07-2.16
O  0.5585  0.5483  0.3080 (multiplicity 1)  2 Cr 1.90-1.99, 2 Li 2.04-2.11
O  0.5872  0.2298  0.8060 (multiplicity 1)  1 Mn 1.93, 1 Cr 1.95, 2 Li 2.07-2.08
O  0.5934  0.2320  0.3055 (multiplicity 1)  2 Cr 1.89-2.00, 2 Li 2.07-2.11
O  0.6564  0.0231  0.9438 (multiplicity 1)  2 Cr 1.89-1.99, 2 Li 2.04-2.11
O  0.6597  0.0169  0.4444 (multiplicity 1)  1 Cr 1.91, 1 Mn 1.95, 2 Li 2.07-2.10
O  0.6934  0.6975  0.4427 (multiplicity 1)  1 Mn 1.94, 1 Cr 1.99, 4 Li 2.06-2.13
O  0.6996  0.3422  0.9438 (multiplicity 1)  1 Mn 1.93, 1 Cr 1.96, 2 Li 2.06-2.08
O  0.7006  0.6993  0.9431 (multiplicity 1)  2 Cr 1.96-1.98, 4 Li 2.04-2.15
O  0.7050  0.3388  0.4436 (multiplicity 1)  2 Cr 1.90-2.00, 2 Li 2.04-2.11
O  0.7947  0.1609  0.5561 (multiplicity 1)  2 Cr 1.89-1.99, 2 Li 2.04-2.10
O  0.8004  0.8024  0.0574 (multiplicity 1)  2 Cr 1.97-1.98, 4 Li 2.04-2.14
O  0.8014  0.8010  0.5569 (multiplicity 1)  1 Cr 1.94, 1 Mn 1.95, 4 Li 2.05-2.15
O  0.8043  0.1616  0.0555 (multiplicity 1)  1 Cr 1.91, 1 Mn 1.95, 2 Li 2.06-2.09
O  0.8362  0.4788  0.0563 (multiplicity 1)  1 Mn 1.93, 1 Cr 1.96, 2 Li 2.06-2.08
O  0.8426  0.4814  0.5562 (multiplicity 1)  2 Cr 1.90-1.99, 2 Li 2.06-2.11
O  0.9108  0.2663  0.6943 (multiplicity 1)  1 Cr 1.92, 1 Mn 1.95, 2 Li 2.07-2.09
O  0.9110  0.2718  0.1939 (multiplicity 1)  2 Cr 1.94-1.97, 2 Li 2.05-2.08
O  0.9373  0.5872  0.1938 (multiplicity 1)  2 Cr 1.88-1.98, 2 Li 2.07-2.09
O  0.9429  0.9473  0.6927 (multiplicity 1)  1 Mn 1.94, 1 Cr 1.99, 4 Li 2.05-2.14
O  0.9495  0.9483  0.1927 (multiplicity 1)  2 Cr 1.97-1.98, 4 Li 2.04-2.14
O  0.9540  0.5884  0.6938 (multiplicity 1)  2 Cr 1.90-2.00, 2 Li 2.05-2.11

## Mn3Zn2AsO12 (GGA+U)

Data for crystalline Mn3Zn2AsO12 at its relaxed geometry.

- Calculated volume: 15.847 A^3/atom
- Density: 3.3 g/cm³
- Energy above the lowest structure with this stoichiometry: 0.000 eV per atom
- Energy relative to the elements: -1.1374 eV per atom

Unit cell a=24.6192 b=2.9967 c=7.7932 alpha=90.00 beta=97.14 gamma=90.00
With the nearest neighbours (Å) after each atom.
Space group Cm (No. 8)
Asymmetric unit:
Mn  0.0000  0.0000  0.0000 (multiplicity 2)  4 O 1.89-1.96
Mn  0.0840  0.5000  0.3021 (multiplicity 2)  4 O 1.94-1.98
Mn  0.4115  0.0000  0.7953 (multiplicity 2)  6 O 1.85-2.02
Zn  0.1999  0.0000  0.4570 (multiplicity 2)  2 O 1.77-1.81
Zn  0.3187  0.5000  0.6065 (multiplicity 2)  5 O 2.00-2.12
As  0.1103  0.5000  0.8068 (multiplicity 2)  4 O 1.65-1.84
O  0.0351  0.0000  0.2402 (multiplicity 2)  3 Mn 1.94-1.96
O  0.0619  0.5000  0.9470 (multiplicity 2)  1 As 1.71
O  0.0959  0.5000  0.5939 (multiplicity 2)  1 As 1.65
O  0.1366  0.0000  0.3126 (multiplicity 2)  1 Zn 1.81, 2 Mn 1.98
O  0.1512  0.0000  0.8684 (multiplicity 2)  2 As 1.84
O  0.2389  0.5000  0.1788 (multiplicity 2)  1 O 1.24
O  0.2645  0.0000  0.5845 (multiplicity 2)  1 Zn 1.77
O  0.2877  0.5000  0.1561 (multiplicity 2)  1 O 1.24
O  0.3678  0.5000  0.8507 (multiplicity 2)  2 Mn 1.92, 1 Zn 2.12
O  0.3732  0.0000  0.5748 (multiplicity 2)  1 Mn 1.85, 2 Zn 2.05
O  0.4558  0.0000  0.0311 (multiplicity 2)  3 Mn 1.89-2.02
O  0.4640  0.5000  0.7689 (multiplicity 2)  3 Mn 1.91-2.01